(1)
The following is a DFT calculation (PBE) of a geometry-optimized DyGa3 structure.

Unit cell a=6.269 b=6.269 c=4.581 alpha=90.00 beta=90.00 gamma=120.00
Fractional positions:
Dy 0.333 0.667 0.250
Dy 0.667 0.333 0.750
Ga 0.149 0.297 0.750
Ga 0.149 0.851 0.750
Ga 0.297 0.149 0.250
Ga 0.703 0.851 0.750
Ga 0.851 0.149 0.250
Ga 0.851 0.703 0.250

Summary:
Energy of formation from the pure elements (eV per atom): -0.53
Space group: P6_3/mmc, No. 194
Total energy (eV/atom): -3.95

***

(2)
The following is a DFT calculation (PBE) of a geometry-optimized DyGa structure.

Unit cell a=4.397 b=10.923 c=4.030 alpha=90.00 beta=90.00 gamma=90.00
Fractional positions:
Dy 0.000 0.140 0.250
Dy 0.000 0.860 0.750
Dy 0.500 0.360 0.750
Dy 0.500 0.640 0.250
Ga 0.000 0.423 0.250
Ga 0.000 0.577 0.750
Ga 0.500 0.077 0.750
Ga 0.500 0.923 0.250

Summary:
Energy of formation from the pure elements (eV per atom): -0.63
Space group: Cmcm, No. 63
Total energy (eV/atom): -4.45

***

(3)
The following is a DFT calculation (PBE) of a geometry-optimized DyGa3 structure.

Unit cell a=9.971 b=9.971 c=9.971 alpha=36.33 beta=36.33 gamma=36.33
Fractional positions:
Dy 0.130 0.130 0.130
Dy 0.288 0.288 0.288
Dy 0.712 0.712 0.712
Dy 0.870 0.870 0.870
Ga 0.169 0.602 0.602
Ga 0.208 0.208 0.710
Ga 0.208 0.710 0.208
Ga 0.290 0.792 0.792
Ga 0.398 0.398 0.831
Ga 0.398 0.831 0.398
Ga 0.602 0.169 0.602
Ga 0.602 0.602 0.169
Ga 0.710 0.208 0.208
Ga 0.792 0.290 0.792
Ga 0.792 0.792 0.290
Ga 0.831 0.398 0.398

Summary:
Energy of formation from the pure elements (eV per atom): -0.53
Space group: R-3m, No. 166
Total energy (eV/atom): -3.95